# 1
## Sr2SmCrO6 (PBE+U)

Data for a geometry-optimized Sr2SmCrO6 structure.

Cell lengths 5.858, 5.858, 5.858 Å; angles 60.00, 60.00, 60.00 degrees
Atoms (fractional coordinates):
Sr  0.250  0.250  0.250
Sr  0.750  0.750  0.750
Sm  0.500  0.500  0.500
Cr  0.000  0.000  0.000
O  0.772  0.228  0.228
O  0.228  0.772  0.772
O  0.772  0.228  0.772
O  0.228  0.772  0.228
O  0.772  0.772  0.228
O  0.228  0.228  0.772

Properties
- Size of the total moment: 0.100 μB per atom
- DFT formation energy: -2.795 eV/atom

# 2
## MnP2O7 (PBE+U)

Data for a geometry-optimized MnP2O7 structure.

Cell lengths 7.833, 4.761, 6.899 Å; angles 73.93, 90.00, 90.00 degrees
Atoms (fractional coordinates):
Mn  0.991  0.781  0.728
Mn  0.491  0.219  0.272
P  0.224  0.230  0.898
P  0.724  0.770  0.102
P  0.811  0.390  0.491
P  0.311  0.610  0.509
O  0.067  0.421  0.907
O  0.176  0.954  0.837
O  0.676  0.046  0.163
O  0.327  0.134  0.093
O  0.946  0.151  0.539
O  0.628  0.279  0.483
O  0.310  0.410  0.369
O  0.567  0.579  0.093
O  0.446  0.849  0.461
O  0.357  0.418  0.735
O  0.857  0.582  0.265
O  0.810  0.590  0.631
O  0.128  0.721  0.517
O  0.827  0.866  0.907

Properties
- Largest piezoelectric modulus: 0.33 C/m2
- Offset from the most stable computed form: 8 meV/atom
- DFT formation energy: -2.376 eV/atom

# 3
## Ca2Mn2Si4O17 (PBE+U)

Data for a geometry-optimized Ca2Mn2Si4O17 structure.

Cell lengths 5.342, 5.342, 11.929 Å; angles 83.11, 83.11, 67.84 degrees
Atoms (fractional coordinates):
Ca  0.703  0.703  0.729
Ca  0.297  0.297  0.271
Mn  0.000  0.500  0.000
Mn  0.500  0.000  0.000
Si  0.048  0.048  0.849
Si  0.952  0.952  0.151
Si  0.119  0.119  0.590
Si  0.881  0.881  0.410
O  0.909  0.367  0.874
O  0.367  0.909  0.874
O  0.091  0.633  0.126
O  0.633  0.091  0.126
O  0.872  0.872  0.923
O  0.128  0.128  0.077
O  0.006  0.006  0.719
O  0.994  0.994  0.281
O  0.983  0.448  0.592
O  0.448  0.983  0.592
O  0.017  0.552  0.408
O  0.552  0.017  0.408
O  0.000  0.000  0.500
O  0.364  0.364  0.941
O  0.636  0.636  0.059
O  0.415  0.415  0.751
O  0.585  0.585  0.249

Properties
- Size of the total moment: 0.000 μB per atom
- DFT formation energy: -2.305 eV/atom

# 4
## Ba2YCo3O7 (PBE+U)

Data for a geometry-optimized Ba2YCo3O7 structure.

Cell lengths 3.900, 3.991, 11.596 Å; angles 90.00, 90.00, 90.00 degrees
Atoms (fractional coordinates):
Ba  0.500  0.500  0.821
Ba  0.500  0.500  0.179
Y  0.500  0.500  0.500
Co  0.000  0.000  0.654
Co  0.000  0.000  0.346
Co  0.000  0.000  0.000
O  0.000  0.500  0.000
O  0.500  0.000  0.623
O  0.500  0.000  0.377
O  0.000  0.500  0.624
O  0.000  0.500  0.376
O  0.000  0.000  0.842
O  0.000  0.000  0.158

Properties
- Size of the total moment: 0.428 μB per atom
- DFT formation energy: -2.190 eV/atom